[1]
Mo2SeS3 after structural relaxation. Source: the Materials Project, functional PBE-GGA.

a = 3.222 Å, b = 3.222 Å, c = 14.163 Å
α = 90.00°, β = 90.00°, γ = 120.00°
Atoms (fractional coordinates):
Mo (0.000, 0.000, 0.748)
Mo (0.667, 0.333, 0.256)
Se (0.000, 0.000, 0.134)
S (0.667, 0.333, 0.858)
S (0.667, 0.333, 0.639)
S (0.000, 0.000, 0.365)

Properties
- Offset from the most stable computed form: 0.000 eV per atom
- Formation energy: -1.06 eV/atom
- Calculated volume: 21.2 Å³/atom
- Final energy: -7.077 eV per atom
- SG: P3m1, No. 156

[2]
MoSeS after structural relaxation. Source: the Materials Project, functional PBE-GGA.

a = 3.258 Å, b = 3.258 Å, c = 14.263 Å
α = 90.00°, β = 90.00°, γ = 120.00°
Atoms (fractional coordinates):
Mo (0.000, 0.000, 0.258)
Mo (0.000, 0.000, 0.742)
Se (0.667, 0.333, 0.862)
Se (0.333, 0.667, 0.138)
S (0.333, 0.667, 0.365)
S (0.667, 0.333, 0.635)

Properties
- Offset from the most stable computed form: 0.000 eV per atom
- Formation energy: -0.93 eV/atom
- Calculated volume: 21.9 Å³/atom
- Final energy: -6.918 eV per atom
- SG: P-3m1, No. 164

[3]
MoSeS after structural relaxation. Source: the Materials Project, functional PBE-GGA.

a = 3.256 Å, b = 3.256 Å, c = 19.491 Å
α = 90.00°, β = 90.00°, γ = 120.01°
Atoms (fractional coordinates):
Mo (0.444, 0.556, 0.000)
Mo (0.667, 0.333, 0.500)
Se (0.334, 0.666, 0.587)
Se (0.334, 0.666, 0.413)
S (0.777, 0.223, 0.079)
S (0.777, 0.223, 0.921)

Properties
- Offset from the most stable computed form: 0.003 eV per atom
- Formation energy: -0.92 eV/atom
- Calculated volume: 29.8 Å³/atom
- Final energy: -6.915 eV per atom
- SG: Amm2, No. 38

[4]
Mo3Se2S4 after structural relaxation. Source: the Materials Project, functional PBE-GGA.

a = 3.233 Å, b = 3.233 Å, c = 29.637 Å
α = 90.00°, β = 90.00°, γ = 120.00°
Atoms (fractional coordinates):
Mo (0.333, 0.667, 0.116)
Mo (0.333, 0.667, 0.578)
Mo (0.667, 0.333, 0.347)
Se (0.667, 0.333, 0.521)
Se (0.667, 0.333, 0.636)
S (0.333, 0.667, 0.399)
S (0.667, 0.333, 0.063)
S (0.667, 0.333, 0.168)
S (0.333, 0.667, 0.295)

Properties
- Formation energy: -1.01 eV/atom
- Calculated volume: 29.8 Å³/atom
- Final energy: -7.020 eV per atom
- SG: P3m1, No. 156

[5]
Mo2Se3S after structural relaxation. Source: the Materials Project, functional PBE-GGA.

a = 3.288 Å, b = 3.288 Å, c = 37.309 Å
α = 90.00°, β = 90.00°, γ = 120.00°
Atoms (fractional coordinates):
Mo (0.333, 0.667, 0.094)
Mo (0.333, 0.667, 0.470)
Mo (0.667, 0.333, 0.282)
Mo (0.667, 0.333, 0.658)
Se (0.333, 0.667, 0.703)
Se (0.667, 0.333, 0.049)
Se (0.667, 0.333, 0.424)
Se (0.667, 0.333, 0.139)
Se (0.667, 0.333, 0.515)
Se (0.333, 0.667, 0.612)
S (0.333, 0.667, 0.323)
S (0.333, 0.667, 0.241)

Properties
- Formation energy: -0.79 eV/atom
- Calculated volume: 29.1 Å³/atom
- Final energy: -6.763 eV per atom
- SG: P3m1, No. 156

[6]
Mo2SeS3 after structural relaxation. Source: the Materials Project, functional PBE-GGA.

a = 3.224 Å, b = 3.224 Å, c = 37.888 Å
α = 90.00°, β = 90.00°, γ = 120.00°
Atoms (fractional coordinates):
Mo (0.000, 0.000, 0.093)
Mo (0.000, 0.000, 0.469)
Mo (0.333, 0.667, 0.282)
Mo (0.333, 0.667, 0.660)
Se (0.000, 0.000, 0.705)
Se (0.000, 0.000, 0.614)
S (0.000, 0.000, 0.323)
S (0.333, 0.667, 0.052)
S (0.333, 0.667, 0.427)
S (0.333, 0.667, 0.134)
S (0.333, 0.667, 0.510)
S (0.000, 0.000, 0.241)

Properties
- Offset from the most stable computed form: 0.002 eV per atom
- Formation energy: -1.06 eV/atom
- Calculated volume: 28.4 Å³/atom
- Final energy: -7.074 eV per atom
- SG: P3m1, No. 156

[7]
Mo2Se3S after structural relaxation. Source: the Materials Project, functional PBE-GGA.

a = 3.290 Å, b = 3.290 Å, c = 37.296 Å
α = 90.00°, β = 90.00°, γ = 120.00°
Atoms (fractional coordinates):
Mo (0.000, 0.000, 0.094)
Mo (0.000, 0.000, 0.470)
Mo (0.333, 0.667, 0.282)
Mo (0.333, 0.667, 0.658)
Se (0.000, 0.000, 0.327)
Se (0.000, 0.000, 0.703)
Se (0.333, 0.667, 0.424)
Se (0.333, 0.667, 0.515)
Se (0.000, 0.000, 0.237)
Se (0.000, 0.000, 0.612)
S (0.333, 0.667, 0.053)
S (0.333, 0.667, 0.135)

Properties
- Formation energy: -0.79 eV/atom
- Calculated volume: 29.1 Å³/atom
- Final energy: -6.763 eV per atom
- SG: P3m1, No. 156

[8]
Te2Mo3Se2S2 after structural relaxation. Source: the Materials Project, functional PBE-GGA.

a = 3.350 Å, b = 3.350 Å, c = 30.902 Å
α = 90.00°, β = 90.00°, γ = 120.00°
Atoms (fractional coordinates):
Te (0.333, 0.667, 0.517)
Te (0.333, 0.667, 0.640)
Mo (0.000, 0.000, 0.116)
Mo (0.000, 0.000, 0.578)
Mo (0.333, 0.667, 0.347)
Se (0.333, 0.667, 0.062)
Se (0.333, 0.667, 0.169)
S (0.000, 0.000, 0.396)
S (0.000, 0.000, 0.298)

Properties
- Formation energy: -0.66 eV/atom
- Calculated volume: 33.4 Å³/atom
- Spin magnetization: 0.00 μB per cell
- Final energy: -6.562 eV per atom
- SG: P3m1, No. 156

[9]
TeMo2Se2S after structural relaxation. Source: the Materials Project, functional PBE-GGA.

a = 3.343 Å, b = 3.343 Å, c = 38.023 Å
α = 90.00°, β = 90.00°, γ = 120.00°
Atoms (fractional coordinates):
Te (0.333, 0.667, 0.420)
Te (0.333, 0.667, 0.519)
Mo (0.000, 0.000, 0.094)
Mo (0.000, 0.000, 0.470)
Mo (0.333, 0.667, 0.282)
Mo (0.333, 0.667, 0.658)
Se (0.000, 0.000, 0.701)
Se (0.333, 0.667, 0.050)
Se (0.333, 0.667, 0.138)
Se (0.000, 0.000, 0.614)
S (0.000, 0.000, 0.322)
S (0.000, 0.000, 0.242)

Properties
- Formation energy: -0.67 eV/atom
- Calculated volume: 30.7 Å³/atom
- Spin magnetization: 0.00 μB per cell
- Final energy: -6.576 eV per atom
- SG: P3m1, No. 156

[10]
TeMo2Se2S after structural relaxation. Source: the Materials Project, functional PBE-GGA.

a = 3.345 Å, b = 3.345 Å, c = 38.034 Å
α = 90.00°, β = 90.00°, γ = 120.00°
Atoms (fractional coordinates):
Te (0.333, 0.667, 0.707)
Te (0.333, 0.667, 0.608)
Mo (0.333, 0.667, 0.094)
Mo (0.333, 0.667, 0.470)
Mo (0.667, 0.333, 0.282)
Mo (0.667, 0.333, 0.658)
Se (0.333, 0.667, 0.326)
Se (0.667, 0.333, 0.426)
Se (0.667, 0.333, 0.513)
Se (0.333, 0.667, 0.238)
S (0.667, 0.333, 0.054)
S (0.667, 0.333, 0.134)

Properties
- Formation energy: -0.67 eV/atom
- Calculated volume: 30.7 Å³/atom
- Spin magnetization: 0.00 μB per cell
- Final energy: -6.575 eV per atom
- SG: P3m1, No. 156

[11]
TeMo2Se2S after structural relaxation. Source: the Materials Project, functional PBE-GGA.

a = 3.345 Å, b = 3.345 Å, c = 38.045 Å
α = 90.00°, β = 90.00°, γ = 120.00°
Atoms (fractional coordinates):
Te (0.333, 0.667, 0.332)
Te (0.333, 0.667, 0.232)
Mo (0.333, 0.667, 0.094)
Mo (0.333, 0.667, 0.470)
Mo (0.667, 0.333, 0.282)
Mo (0.667, 0.333, 0.658)
Se (0.333, 0.667, 0.701)
Se (0.667, 0.333, 0.426)
Se (0.667, 0.333, 0.513)
Se (0.333, 0.667, 0.614)
S (0.667, 0.333, 0.054)
S (0.667, 0.333, 0.134)

Properties
- Formation energy: -0.67 eV/atom
- Calculated volume: 30.7 Å³/atom
- Spin magnetization: 0.00 μB per cell
- Final energy: -6.576 eV per atom
- SG: P3m1, No. 156

[12]
Te2Mo2SeS after structural relaxation. Source: the Materials Project, functional PBE-GGA.

a = 3.398 Å, b = 3.398 Å, c = 38.650 Å
α = 90.00°, β = 90.00°, γ = 120.00°
Atoms (fractional coordinates):
Te (0.000, 0.000, 0.330)
Te (0.000, 0.000, 0.706)
Te (0.000, 0.000, 0.233)
Te (0.000, 0.000, 0.609)
Mo (0.000, 0.000, 0.094)
Mo (0.000, 0.000, 0.470)
Mo (0.333, 0.667, 0.282)
Mo (0.333, 0.667, 0.658)
Se (0.333, 0.667, 0.427)
Se (0.333, 0.667, 0.512)
S (0.333, 0.667, 0.055)
S (0.333, 0.667, 0.133)

Properties
- Offset from the most stable computed form: 0.001 eV per atom
- Formation energy: -0.55 eV/atom
- Calculated volume: 32.2 Å³/atom
- Spin magnetization: 0.00 μB per cell
- Final energy: -6.401 eV per atom
- SG: P3m1, No. 156